[1]
# LaSc3B4O12, optimized geometry, DFT PBE
# E_form, kJ/mol of atoms: -335.0
# Energy above the lowest structure with this stoichiometry, meV/atom: 0
data_LaSc3B4O12
_chemical_formula_sum 'La4 Sc12 B16 O48'
_space_group_name_H-M_alt 'C 1 c 1'
_space_group_IT_number 9
_cell_length_a 7.809
_cell_length_b 9.939
_cell_length_c 12.187
_cell_angle_alpha 90.00
_cell_angle_beta 105.54
_cell_angle_gamma 90.00
loop_
_space_group_symop_operation_xyz
'x,y,z'
'x,-y,z+1/2'
'x+1/2,y+1/2,z'
'x+1/2,-y+1/2,z+1/2'
loop_
_atom_site_label
_atom_site_fract_x
_atom_site_fract_y
_atom_site_fract_z
La1 0.000 0.036 0.000
Sc1 0.039 0.249 0.274
Sc2 0.442 0.248 0.224
Sc3 0.495 0.075 0.000
B1 0.194 0.307 0.976
B2 0.238 0.027 0.750
B3 0.245 0.477 0.749
B4 0.291 0.196 0.524
O1 0.059 0.243 0.897
O2 0.091 0.094 0.682
O3 0.102 0.406 0.681
O4 0.150 0.267 0.455
O5 0.201 0.444 0.992
O6 0.236 0.113 0.243
O7 0.244 0.383 0.254
O8 0.296 0.059 0.511
O9 0.326 0.226 0.044
O10 0.382 0.095 0.818
O11 0.393 0.411 0.816
O12 0.421 0.267 0.602

=====

[2]
# ZnAg2C4S4N4, optimized geometry, DFT PBE
# E_form, kJ/mol of atoms: -11.6
# Energy above the lowest structure with this stoichiometry, meV/atom: 0
data_ZnAg2C4S4N4
_chemical_formula_sum 'Zn4 Ag8 C16 S16 N16'
_space_group_name_H-M_alt 'C 1 2/c 1'
_space_group_IT_number 15
_cell_length_a 19.831
_cell_length_b 7.935
_cell_length_c 8.298
_cell_angle_alpha 90.00
_cell_angle_beta 96.25
_cell_angle_gamma 90.00
loop_
_space_group_symop_operation_xyz
'x,y,z'
'-x,-y,-z'
'-x,y,-z+1/2'
'x,-y,z+1/2'
'x+1/2,y+1/2,z'
'-x+1/2,-y+1/2,-z'
'-x+1/2,y+1/2,-z+1/2'
'x+1/2,-y+1/2,z+1/2'
loop_
_atom_site_label
_atom_site_fract_x
_atom_site_fract_y
_atom_site_fract_z
Zn1 0.000 0.167 0.250
Ag1 0.202 0.406 0.764
C1 0.083 0.433 0.458
C2 0.128 0.032 0.668
S1 0.135 0.417 0.023
S2 0.201 0.111 0.632
N1 0.044 0.324 0.413
N2 0.075 0.027 0.187